This record from the Materials Project database describes an optimized crystal structure of Ca11Sn3C8. The functional is PBE. Values from VASP.

Results
Symmetry   P2_1/c, No. 14
Energy of formation   -739.0 kJ/mol of formula units
Size of the total moment   0.0000 μB/atom

The structure in Quantum ESPRESSO input format:
```
&SYSTEM
  ibrav = 0, nat = 88, ntyp = 3
/
ATOMIC_SPECIES
Ca 40.08 Ca.upf
C 12.01 C.upf
Sn 118.71 Sn.upf
CELL_PARAMETERS angstrom
10.723 0.000 0.000
0.000 13.251 0.000
0.000 3.860 13.747
ATOMIC_POSITIONS angstrom
Ca 0.039 11.979 2.266
C 8.464 6.238 11.276
C 7.827 5.110 11.571
Sn 2.697 8.531 6.879
Ca 8.078 14.062 3.767
Ca 0.071 8.445 1.305
Ca 7.113 10.579 4.518
Ca 8.258 0.396 0.199
Ca 2.659 7.608 3.713
Ca 5.407 12.387 2.012
Ca 5.280 5.741 2.046
C 7.023 11.717 9.668
C 8.258 3.180 4.697
Ca 5.323 13.909 9.140
C 2.197 6.143 11.225
C 9.024 7.373 10.877
Ca 1.751 4.601 2.356
Ca 2.716 1.119 3.107
Ca 8.064 9.503 10.034
Sn 5.571 2.297 1.367
Ca 8.602 4.127 2.167
C 7.932 12.100 2.177
C 5.542 9.576 2.769
Sn 0.199 2.108 1.160
Ca 8.972 12.510 11.391
Ca 10.641 9.440 4.827
C 1.661 7.324 10.953
Sn 10.524 15.003 12.587
Ca 2.156 5.232 6.330
Sn 8.058 10.510 13.742
C 10.619 6.749 3.631
C 9.062 9.787 2.794
C 7.621 4.308 4.402
Ca 2.645 3.049 9.981
Ca 3.206 7.162 13.204
Ca 9.035 5.701 5.881
C 7.559 12.898 9.396
Sn 5.152 14.814 12.381
Ca 0.082 7.671 8.920
Ca 0.045 2.793 4.862
C 2.896 12.001 2.177
Ca 10.684 5.132 11.481
Sn 2.665 6.601 0.005
C 1.699 9.738 2.870
Ca 2.465 16.715 13.549
C 5.257 8.431 3.242
C 3.662 11.668 9.744
C 5.182 7.535 10.978
Sn 0.209 12.884 5.507
C 7.061 5.442 4.004
Sn 8.027 8.580 6.868
Sn 10.514 4.227 8.240
C 2.466 13.931 9.050
Ca 10.678 14.317 8.886
Sn 5.163 4.038 8.034
C 10.543 11.506 9.643
C 2.259 10.873 2.472
Ca 7.483 6.057 9.040
Ca 8.021 7.572 3.161
Ca 8.568 11.879 7.417
Ca 3.610 6.531 9.230
C 3.165 4.213 4.351
Ca 5.433 6.735 5.568
Ca 7.050 7.631 12.755
Ca 5.316 4.724 11.735
C 3.701 5.394 4.080
Ca 3.240 11.054 4.707
Ca 7.517 9.949 0.543
Ca 5.290 10.376 8.179
C 2.792 5.011 11.570
C 0.104 10.362 10.116
Ca 10.652 8.666 12.442
C 5.466 8.680 10.505
Ca 7.827 2.326 7.072
Ca 3.673 9.480 0.992
Ca 2.121 12.984 11.580
Ca 1.688 11.410 7.866
C 3.102 12.803 9.345
Ca 5.401 3.202 4.607
C 2.570 3.081 4.697
C 8.153 14.030 9.051
Ca 5.444 11.370 11.701
C 8.526 10.968 2.523
Ca 2.702 9.539 10.586
Ca 2.896 14.785 6.675
Ca 8.007 15.992 10.640
C 0.180 5.605 4.104
Sn 5.561 13.073 5.714
```



This record from the Materials Project database describes an optimized crystal structure of CdC. The functional is PBE. Values from VASP.

Results
Symmetry   P6_3/mmc, No. 194
Energy of formation   384.1 kJ/mol of formula units
Size of the total moment   0.0001 μB/atom
Energy relative to the lowest polymorph listed for this composition   0 kJ/mol of formula units

The structure in Quantum ESPRESSO input format:
```
&SYSTEM
  ibrav = 0, nat = 4, ntyp = 2
/
ATOMIC_SPECIES
Cd 112.41 Cd.upf
C 12.01 C.upf
CELL_PARAMETERS angstrom
-3.598 0.654 1.749
0.222 -0.664 -3.993
-0.481 -4.632 0.743
ATOMIC_POSITIONS angstrom
Cd -1.172 -1.383 -1.893
C -1.412 -3.699 -1.522
Cd -2.685 -3.260 0.393
C -2.445 -0.943 0.021
```



This record from the Materials Project database describes an optimized crystal structure of Cd3C. The functional is PBE. Values from VASP.

Results
Symmetry   Pm-3m, No. 221
Energy of formation   470.9 kJ/mol of formula units
Size of the total moment   0.0000 μB/atom

The structure in Quantum ESPRESSO input format:
```
&SYSTEM
  ibrav = 0, nat = 4, ntyp = 2
/
ATOMIC_SPECIES
Cd 112.41 Cd.upf
C 12.01 C.upf
CELL_PARAMETERS angstrom
-3.565 2.129 -0.409
-2.077 -3.128 1.820
0.622 1.759 3.732
ATOMIC_POSITIONS angstrom
Cd -0.727 -0.685 2.776
C 0.000 0.000 0.000
Cd -1.472 1.944 1.661
Cd -2.821 -0.500 0.705
```



Look up the energy of formation of the second one. 384.1 kJ/mol of formula units